Model 1:
Here is crystalline Li3V2F9 at its relaxed geometry from the Materials Project. Energies are from PBE with a Hubbard U.

Values from the calculation:
- Calculated density: 2.48 g/cm³
- Symmetry: C2

abc: 5.6805 5.6805 7.4399
angles: 84.58 84.58 55.58
Fractional positions:
Li 0.8157 0.4643 0.5383
Li 0.9692 0.0308 0.0000
Li 0.5357 0.1843 0.4617
V 0.6223 0.6647 0.1523
V 0.3353 0.3777 0.8477
F 0.0266 0.4552 0.0457
F 0.7113 0.3617 0.3332
F 0.6761 0.8348 0.3546
F 0.2205 0.8634 0.1895
F 0.5448 0.9734 0.9543
F 0.6383 0.2887 0.6668
F 0.6027 0.3973 0.0000
F 0.1652 0.3239 0.6454
F 0.1366 0.7795 0.8105

=====

Model 2:
Here is crystalline Li3V2F9 at its relaxed geometry from the Materials Project. Energies are from PBE with a Hubbard U.

Values from the calculation:
- Calculated density: 3.00 g/cm³
- Symmetry: P3c1

abc: 5.1314 5.1314 14.2550
angles: 90.00 90.00 120.00
Fractional positions:
Li 0.3333 0.6667 0.1852
Li 0.3333 0.6667 0.4829
Li 0.3333 0.6667 0.9829
Li 0.3333 0.6667 0.6852
Li 0.6667 0.3333 0.0005
Li 0.6667 0.3333 0.5005
V 0.0000 0.0000 0.3505
V 0.0000 0.0000 0.1468
V 0.0000 0.0000 0.6468
V 0.0000 0.0000 0.8505
F 0.0185 0.6721 0.5835
F 0.3279 0.9815 0.0835
F 0.0185 0.3465 0.0835
F 0.3279 0.3465 0.5835
F 0.2720 0.2923 0.2467
F 0.6535 0.9815 0.5835
F 0.3235 0.3146 0.9209
F 0.6535 0.6721 0.0835
F 0.2720 0.9797 0.7467
F 0.3235 0.0089 0.4209
F 0.7077 0.7280 0.7467
F 0.6854 0.6765 0.4209
F 0.9911 0.6765 0.9209
F 0.0203 0.7280 0.2467
F 0.6854 0.0089 0.9209
F 0.7077 0.9797 0.2467
F 0.9911 0.3146 0.4209
F 0.0203 0.2923 0.7467

=====

The most stable of them is model 2.

=====

Model 1:
Here is crystalline Li2Mn3NbO8 at its relaxed geometry from the Materials Project. Energies are from PBE with a Hubbard U.

Values from the calculation:
- Calculated density: 4.12 g/cm³
- Symmetry: P4_332

abc: 8.6345 8.6345 8.6345
angles: 90.00 90.00 90.00
Fractional positions:
Li 0.5072 0.5072 0.5072
Li 0.7428 0.7428 0.7428
Li 0.7572 0.2572 0.2428
Li 0.9928 0.4928 0.0072
Li 0.0072 0.9928 0.4928
Li 0.2428 0.7572 0.2572
Li 0.2572 0.2428 0.7572
Li 0.4928 0.0072 0.9928
Mn 0.6231 0.6269 0.1250
Mn 0.6250 0.8769 0.3731
Mn 0.6269 0.1250 0.6231
Mn 0.8731 0.8750 0.1231
Mn 0.8750 0.1231 0.8731
Mn 0.8769 0.3731 0.6250
Mn 0.1231 0.8731 0.8750
Mn 0.1250 0.6231 0.6269
Mn 0.1269 0.3750 0.3769
Mn 0.3731 0.6250 0.8769
Mn 0.3750 0.3769 0.1269
Mn 0.3769 0.1269 0.3750
Nb 0.6250 0.3750 0.8750
Nb 0.8750 0.6250 0.3750
Nb 0.1250 0.1250 0.1250
Nb 0.3750 0.8750 0.6250
O 0.6034 0.6084 0.8721
O 0.6279 0.3966 0.1084
O 0.6091 0.1091 0.3909
O 0.6416 0.6466 0.3779
O 0.6084 0.8721 0.6034
O 0.6409 0.8591 0.1409
O 0.6221 0.1416 0.8534
O 0.6466 0.3779 0.6416
O 0.8534 0.6221 0.1416
O 0.8779 0.8584 0.3534
O 0.8591 0.1409 0.6409
O 0.8916 0.1279 0.1034
O 0.8584 0.3534 0.8779
O 0.8909 0.8909 0.8909
O 0.8721 0.6034 0.6084
O 0.8966 0.3916 0.3721
O 0.1034 0.8916 0.1279
O 0.1279 0.1034 0.8916
O 0.1091 0.3909 0.6091
O 0.1416 0.8534 0.6221
O 0.1084 0.6279 0.3966
O 0.1409 0.6409 0.8591
O 0.1221 0.3584 0.1466
O 0.1466 0.1221 0.3584
O 0.3534 0.8779 0.8584
O 0.3779 0.6416 0.6466
O 0.3591 0.3591 0.3591
O 0.3916 0.3721 0.8966
O 0.3584 0.1466 0.1221
O 0.3909 0.6091 0.1091
O 0.3721 0.8966 0.3916
O 0.3966 0.1084 0.6279

=====

Model 2:
Here is crystalline Li2Mn3NbO8 at its relaxed geometry from the Materials Project. Energies are from PBE with a Hubbard U.

Values from the calculation:
- Calculated density: 4.30 g/cm³
- Symmetry: Cc

abc: 5.9764 5.9764 9.9150
angles: 88.04 88.04 119.25
Fractional positions:
Li 0.3431 0.6751 0.9038
Li 0.0011 0.0022 0.9892
Li 0.0022 0.0011 0.4892
Li 0.6751 0.3431 0.4038
Mn 0.6594 0.8314 0.2154
Mn 0.1710 0.3376 0.2141
Mn 0.1694 0.8316 0.2133
Mn 0.8316 0.1694 0.7133
Mn 0.8314 0.6594 0.7154
Mn 0.3376 0.1710 0.7141
Nb 0.3538 0.6876 0.4897
Nb 0.6876 0.3538 0.9897
O 0.6529 0.8274 0.5876
O 0.4974 0.5345 0.3469
O 0.3419 0.6738 0.1157
O 0.9893 0.9909 0.3024
O 0.9909 0.9893 0.8024
O 0.1619 0.3184 0.5938
O 0.4760 0.9736 0.3571
O 0.0400 0.5143 0.3339
O 0.8048 0.1401 0.0909
O 0.1401 0.8048 0.5909
O 0.9736 0.4760 0.8571
O 0.5143 0.0400 0.8339
O 0.6738 0.3419 0.6157
O 0.8274 0.6529 0.0876
O 0.5345 0.4974 0.8469
O 0.3184 0.1619 0.0938

=====

Model 3:
Here is crystalline Li2Mn3NbO8 at its relaxed geometry from the Materials Project. Energies are from PBE with a Hubbard U.

Values from the calculation:
- Calculated density: 4.11 g/cm³
- Symmetry: C2/c

abc: 6.2348 11.0363 5.8400
angles: 90.00 117.93 68.35
Fractional positions:
Li 0.8834 0.1941 0.9387
Li 0.8834 0.6941 0.4446
Li 0.1165 0.3059 0.5553
Li 0.1166 0.8059 0.0611
Mn 0.0001 0.0001 0.5002
Mn 0.5001 0.4998 0.5001
Mn 0.5001 0.9999 0.9998
Mn 0.5000 0.4999 0.0001
Mn 0.5000 0.0002 0.5002
Mn 0.0001 0.4999 0.0000
Nb 0.4999 0.7500 0.7540
Nb 0.4998 0.2500 0.2456
O 0.7230 0.3976 0.8608
O 0.7231 0.8977 0.3624
O 0.2771 0.1024 0.6378
O 0.2770 0.6023 0.1393
O 0.7520 0.6246 0.1048
O 0.7533 0.1244 0.6005
O 0.2989 0.6255 0.6506
O 0.2989 0.1255 0.1482
O 0.7533 0.6243 0.6528
O 0.7521 0.1246 0.1472
O 0.2480 0.8755 0.8529
O 0.2467 0.3756 0.3473
O 0.7012 0.8745 0.8516
O 0.7012 0.3744 0.3495
O 0.2467 0.8757 0.3995
O 0.2478 0.3754 0.8950

=====

The most stable of them is model 2.

=====

Model 1:
Here is crystalline LiCoPO4F at its relaxed geometry from the Materials Project. Energies are from PBE with a Hubbard U.

Values from the calculation:
- Calculated density: 3.11 g/cm³
- Symmetry: Pc

abc: 13.3198 5.1179 11.2804
angles: 89.67 90.00 90.00
Fractional positions:
Li 0.7701 0.2118 0.8201
Li 0.2299 0.2118 0.3201
Li 0.7572 0.6724 0.1856
Li 0.2428 0.6724 0.6856
Li 0.3573 0.7851 0.8943
Li 0.6427 0.7851 0.3943
Li 0.2239 0.7909 0.1862
Li 0.7761 0.7909 0.6862
Co 0.4803 0.2189 0.8306
Co 0.5197 0.2189 0.3306
Co 0.0186 0.2839 0.3291
Co 0.9814 0.2839 0.8291
Co 0.0151 0.7161 0.1693
Co 0.9849 0.7161 0.6693
Co 0.4760 0.7869 0.6620
Co 0.5240 0.7869 0.1620
P 0.8769 0.2063 0.0919
P 0.1231 0.2063 0.5919
P 0.6190 0.2894 0.5955
P 0.3810 0.2894 0.0955
P 0.6204 0.7050 0.9026
P 0.3796 0.7050 0.4026
P 0.8821 0.8068 0.4088
P 0.1179 0.8068 0.9088
O 0.9075 0.1010 0.3904
O 0.0925 0.1010 0.8904
O 0.5285 0.1500 0.6607
O 0.4715 0.1500 0.1607
O 0.7175 0.1978 0.6463
O 0.2825 0.1978 0.1463
O 0.3928 0.2045 0.9630
O 0.6072 0.2045 0.4630
O 0.8882 0.2327 0.9545
O 0.1118 0.2327 0.4545
O 0.7784 0.3190 0.1298
O 0.2216 0.3190 0.6298
O 0.0321 0.3554 0.6515
O 0.9679 0.3554 0.1515
O 0.6041 0.4094 0.8738
O 0.3959 0.4094 0.3738
O 0.4002 0.5921 0.1041
O 0.5998 0.5921 0.6041
O 0.9657 0.6486 0.3421
O 0.0343 0.6486 0.8421
O 0.7793 0.7381 0.3625
O 0.2207 0.7381 0.8625
O 0.8897 0.7390 0.5434
O 0.1103 0.7390 0.0434
O 0.6151 0.7384 0.0409
O 0.3849 0.7384 0.5409
O 0.7162 0.8152 0.8526
O 0.2838 0.8152 0.3526
O 0.5258 0.8522 0.8524
O 0.4742 0.8522 0.3524
O 0.8920 0.9100 0.1273
O 0.1080 0.9100 0.6273
F 0.9076 0.0015 0.7454
F 0.3710 0.9932 0.7494
F 0.6290 0.9932 0.2494
F 0.0924 0.0015 0.2454
F 0.4106 0.5149 0.7608
F 0.8687 0.5030 0.7517
F 0.5894 0.5149 0.2608
F 0.1313 0.5030 0.2517

=====

Model 2:
Here is crystalline LiCoPO4F at its relaxed geometry from the Materials Project. Energies are from PBE with a Hubbard U.

Values from the calculation:
- Calculated density: 3.23 g/cm³
- Symmetry: P1

abc: 6.3028 10.7097 10.9439
angles: 90.43 90.29 90.24
Fractional positions:
Li 0.2482 0.7721 0.0846
Li 0.5375 0.7614 0.3377
Li 0.2509 0.5590 0.7746
Li 0.2493 0.2769 0.4108
Li 0.9720 0.2667 0.1735
Li 0.4876 0.2377 0.6676
Li 0.7555 0.2231 0.9109
Li 0.2426 0.0339 0.7313
Co 0.9984 0.9983 0.0006
Co 0.5087 0.0016 0.0039
Co 0.9874 0.9944 0.4954
Co 0.5023 0.0015 0.4968
Co 0.9908 0.5056 0.5004
Co 0.5053 0.5055 0.4995
Co 0.9984 0.5022 0.0003
Co 0.5076 0.4973 0.0039
P 0.7476 0.9587 0.7397
P 0.7484 0.7606 0.0785
P 0.2526 0.7382 0.5738
P 0.2619 0.5366 0.2373
P 0.7417 0.4574 0.7614
P 0.7510 0.2622 0.4232
P 0.2574 0.2370 0.9229
P 0.2363 0.0391 0.2618
O 0.2458 0.9835 0.1280
O 0.0430 0.9807 0.3291
O 0.4382 0.9884 0.3281
O 0.2502 0.8782 0.5337
O 0.7340 0.8212 0.7487
O 0.5485 0.8277 0.0226
O 0.9524 0.8254 0.0256
O 0.7437 0.7649 0.2147
O 0.2633 0.7218 0.7090
O 0.0520 0.6724 0.5167
O 0.4464 0.6775 0.5038
O 0.2750 0.6776 0.2390
O 0.7518 0.6232 0.0271
O 0.5492 0.5153 0.8309
O 0.9518 0.5016 0.8261
O 0.7441 0.5099 0.6287
O 0.2561 0.4795 0.3685
O 0.0615 0.4818 0.1683
O 0.4585 0.4814 0.1687
O 0.2601 0.3772 0.9620
O 0.7192 0.3161 0.7601
O 0.5470 0.3220 0.4838
O 0.9536 0.3284 0.4780
O 0.7478 0.2659 0.2869
O 0.2577 0.2154 0.7862
O 0.0529 0.1807 0.9844
O 0.4585 0.1749 0.9814
O 0.2174 0.1799 0.2597
O 0.7501 0.1244 0.4734
O 0.5510 0.0233 0.6745
O 0.9503 0.0063 0.6706
O 0.7575 0.0223 0.8730
F 0.2508 0.9660 0.8919
F 0.7337 0.8815 0.4822
F 0.2504 0.6174 0.9811
F 0.7444 0.5362 0.3908
F 0.2580 0.4660 0.6112
F 0.7610 0.3773 0.0154
F 0.2526 0.1205 0.5208
F 0.7590 0.0441 0.1079

=====

The most stable of them is model 2.

=====

Model 1:
Here is crystalline LiMn6O4F8 at its relaxed geometry from the Materials Project. Energies are from PBE with a Hubbard U.

Values from the calculation:
- Calculated density: 3.60 g/cm³
- Symmetry: P1

abc: 5.3066 7.9523 6.2174
angles: 99.10 80.34 95.64
Fractional positions:
Li 0.2167 0.4281 0.5957
Mn 0.5043 0.0052 0.5194
Mn 0.5314 0.6677 0.1663
Mn 0.5219 0.3191 0.8464
Mn 0.8783 0.7215 0.6389
Mn 0.9110 0.3611 0.2511
Mn 0.0378 0.9565 0.0617
O 0.7807 0.7666 0.9674
O 0.6648 0.7955 0.4428
O 0.6594 0.4395 0.0970
O 0.3759 0.2236 0.5943
F 0.8468 0.4421 0.6072
F 0.7926 0.1081 0.3119
F 0.6954 0.1068 0.8048
F 0.3344 0.5267 0.8607
F 0.3113 0.8911 0.2348
F 0.2049 0.5660 0.3535
F 0.1952 0.2135 0.0592
F 0.2039 0.8949 0.7120

=====

Model 2:
Here is crystalline LiMn6O4F8 at its relaxed geometry from the Materials Project. Energies are from PBE with a Hubbard U.

Values from the calculation:
- Calculated density: 3.91 g/cm³
- Symmetry: P1

abc: 5.0430 8.0515 5.8213
angles: 94.86 93.34 86.93
Fractional positions:
Li 0.5054 0.2275 0.2280
Mn 0.4976 0.9827 0.5181
Mn 0.5741 0.6561 0.1529
Mn 0.4963 0.3339 0.7994
Mn 0.9672 0.6705 0.6604
Mn 0.0041 0.3323 0.3207
Mn 0.9961 0.9736 0.0053
O 0.8196 0.7534 0.9402
O 0.6876 0.7670 0.4710
O 0.6702 0.4053 0.1046
O 0.3329 0.2187 0.5123
F 0.8003 0.4208 0.6173
F 0.8043 0.0917 0.3070
F 0.6854 0.0966 0.8159
F 0.2858 0.5606 0.8403
F 0.3357 0.8987 0.1960
F 0.1537 0.5723 0.3757
F 0.2013 0.2144 0.0238
F 0.1961 0.8992 0.6944

=====

The most stable of them is model 2.

=====

Model 1:
Here is crystalline MgFe6O9F3 at its relaxed geometry from the Materials Project. Energies are from PBE with a Hubbard U.

Values from the calculation:
- Calculated density: 4.24 g/cm³
- Symmetry: P1

abc: 7.3597 5.7086 5.8923
angles: 78.72 68.93 72.61
Fractional positions:
Mg 0.3346 0.6615 0.1554
Fe 0.8340 0.6720 0.6703
Fe 0.3269 0.7258 0.6292
Fe 0.6676 0.3732 0.3167
Fe 0.1339 0.2952 0.3564
Fe 0.5225 0.0191 0.0113
Fe 0.9868 0.9469 0.0465
O 0.2857 0.9151 0.8931
O 0.9482 0.2312 0.2365
O 0.6319 0.5870 0.5455
O 0.6976 0.1134 0.1277
O 0.0305 0.7608 0.7799
O 0.3804 0.4347 0.4392
O 0.6399 0.6578 0.0185
O 0.3160 0.9662 0.3355
O 0.0294 0.6677 0.3178
F 0.3405 0.3694 0.0012
F 0.6738 0.0334 0.6556
F 0.9792 0.3076 0.7017

=====

Model 2:
Here is crystalline MgFe6O9F3 at its relaxed geometry from the Materials Project. Energies are from PBE with a Hubbard U.

Values from the calculation:
- Calculated density: 4.27 g/cm³
- Symmetry: P1

abc: 7.1770 5.8784 5.7148
angles: 80.70 73.75 70.81
Fractional positions:
Mg 0.5031 0.4969 0.9817
Fe 0.8410 0.6820 0.6668
Fe 0.3174 0.7474 0.5931
Fe 0.6661 0.3128 0.3761
Fe 0.1479 0.3372 0.3425
Fe 0.4977 0.9787 0.0300
Fe 0.9974 0.9368 0.0596
O 0.3047 0.8469 0.9264
O 0.9522 0.2020 0.2733
O 0.6158 0.5440 0.6069
O 0.6870 0.1479 0.0930
O 0.0313 0.8057 0.7503
O 0.3820 0.4763 0.3711
O 0.6899 0.6678 0.0099
O 0.3370 0.0122 0.3612
O 0.9825 0.6761 0.3186
F 0.3095 0.3306 0.9720
F 0.6378 0.0332 0.6434
F 0.0164 0.3370 0.6954

=====

The most stable of them is model 2.